Computed, not measured: crystalline Sr2BN2Cl at its relaxed geometry at the PBE level of DFT.

Summary:
space-group type: Pnma
ΔH_f (0 K): -1.59 eV/atom
uncorrected energy: -6.25 eV/atom

POSCAR file:
```
Sr2BN2Cl
1.0
12.540 0.000 0.000
0.000 4.203 0.000
0.000 0.000 9.281
Sr B N Cl
8 4 8 4
Cartesian
1.102 1.051 1.081 Sr
2.143 1.051 5.196 Sr
4.127 3.153 0.555 Sr
5.167 3.153 5.721 Sr
7.372 1.051 3.560 Sr
8.412 1.051 8.725 Sr
10.397 3.153 4.085 Sr
11.437 3.153 8.200 Sr
2.085 3.153 7.686 B
4.185 1.051 3.045 B
8.355 3.153 6.235 B
10.454 1.051 1.595 B
1.537 3.153 8.927 N
2.689 3.153 6.485 N
3.581 1.051 1.845 N
4.732 1.051 4.287 N
7.807 3.153 4.994 N
8.959 3.153 7.436 N
9.850 1.051 2.796 N
11.002 1.051 0.354 N
0.774 3.153 3.295 Cl
5.496 1.051 7.936 Cl
7.043 3.153 1.345 Cl
11.766 1.051 5.986 Cl
```



Computed, not measured: crystalline Na4B3Cl at its relaxed geometry at the PBE level of DFT.

Summary:
space-group type: I4/mmm
ΔH_f (0 K): 1.01 eV/atom
uncorrected energy: -2.31 eV/atom

POSCAR file:
```
Na4B3Cl
1.0
-2.774 2.774 5.495
2.774 -2.774 5.495
2.774 2.774 -5.495
Na B Cl
4 3 1
Cartesian
2.774 0.000 0.000 Na
0.000 0.000 2.724 Na
0.000 2.774 0.000 Na
0.000 0.000 8.266 Na
2.774 0.000 2.747 B
0.000 0.000 5.495 B
0.000 2.774 2.747 B
0.000 0.000 0.000 Cl
```



Computed, not measured: crystalline Na3B6ClO10 at its relaxed geometry at the PBE level of DFT.

Summary:
space-group type: P2_12_12_1
ΔH_f (0 K): -2.68 eV/atom
uncorrected energy: -7.11 eV/atom

POSCAR file:
```
Na3B6ClO10
1.0
7.490 0.000 0.000
0.000 10.006 0.000
0.000 0.000 12.894
Na B Cl O
12 24 4 40
Cartesian
0.189 2.412 3.278 Na
0.395 2.093 9.762 Na
0.981 9.972 0.743 Na
2.764 0.034 7.190 Na
3.350 7.913 3.315 Na
3.556 7.594 9.726 Na
3.934 2.591 9.616 Na
4.139 2.910 3.132 Na
4.726 5.037 12.151 Na
6.508 4.969 5.704 Na
7.095 7.096 9.579 Na
7.301 7.415 3.169 Na
0.124 7.308 12.585 B
0.174 2.666 12.648 B
0.854 4.985 12.042 B
1.796 6.299 7.588 B
1.860 3.691 7.603 B
1.864 4.993 9.751 B
1.881 5.013 3.304 B
1.884 6.315 1.156 B
1.949 3.707 1.141 B
2.891 5.021 5.594 B
3.571 7.340 6.201 B
3.620 2.698 6.138 B
3.869 7.701 0.309 B
3.918 2.337 0.246 B
4.599 0.018 0.853 B
5.540 8.710 5.306 B
5.605 1.312 5.292 B
5.609 0.010 3.144 B
5.626 9.996 9.591 B
5.629 8.694 11.739 B
5.694 1.296 11.753 B
6.636 9.988 7.300 B
7.316 7.669 6.693 B
7.365 2.305 6.757 B
1.355 9.841 3.606 Cl
2.390 0.165 10.053 Cl
5.100 5.168 9.288 Cl
6.135 4.838 2.841 Cl
0.021 1.154 7.490 O
0.055 3.771 11.846 O
0.478 6.502 6.995 O
0.516 3.466 7.098 O
0.963 7.391 0.786 O
1.019 2.614 0.844 O
1.386 5.002 0.578 O
1.710 6.180 9.059 O
1.761 4.985 4.668 O
1.859 6.220 2.633 O
1.886 3.785 9.080 O
1.984 5.021 11.115 O
2.035 3.826 2.612 O
2.358 5.004 7.025 O
2.726 7.392 7.291 O
2.781 2.615 7.233 O
3.229 6.540 0.651 O
3.267 3.504 0.548 O
3.690 6.235 5.399 O
3.724 8.852 1.043 O
3.766 3.849 5.404 O
3.799 1.232 1.048 O
4.223 8.507 5.899 O
4.261 1.537 5.797 O
4.708 7.618 12.108 O
4.764 2.389 12.050 O
5.131 0.001 12.317 O
5.455 8.829 3.835 O
5.506 0.018 8.226 O
5.603 8.788 10.261 O
5.631 1.217 3.814 O
5.729 9.988 1.779 O
5.780 1.177 10.282 O
6.103 10.005 5.870 O
6.470 7.617 5.603 O
6.526 2.388 5.661 O
6.974 8.469 12.244 O
7.012 1.499 12.346 O
7.435 8.774 7.496 O
7.468 6.157 11.852 O
```



Computed, not measured: crystalline NdB4ClO8 at its relaxed geometry at the PBE level of DFT.

Summary:
space-group type: Cc
ΔH_f (0 K): -2.64 eV/atom
uncorrected energy: -7.46 eV/atom

POSCAR file:
```
NdB4ClO8
1.0
3.296 -5.658 0.000
3.296 5.658 0.000
-2.685 0.000 9.296
Nd B Cl O
2 8 2 16
Cartesian
1.954 3.308 4.648 Nd
3.296 -3.308 0.000 Nd
-0.068 1.041 3.479 B
0.261 2.787 7.921 B
-1.410 -1.041 8.127 B
0.522 0.402 8.726 B
1.864 -0.402 4.078 B
1.603 -2.787 3.273 B
4.167 0.584 3.942 B
2.825 -0.584 8.589 B
1.836 3.619 1.822 Cl
0.493 -3.619 6.470 Cl
0.831 5.514 8.658 O
0.553 2.650 6.508 O
1.947 4.597 6.675 O
-0.209 1.550 8.550 O
1.233 0.810 4.119 O
1.570 3.213 8.458 O
-0.109 -0.810 8.767 O
1.133 -1.550 3.902 O
3.831 1.853 3.555 O
1.895 -2.650 1.860 O
1.907 0.435 8.862 O
3.249 -0.435 4.214 O
2.913 -3.213 3.810 O
2.489 -1.853 8.203 O
2.174 -5.514 4.010 O
3.289 -4.597 2.027 O
```



Computed, not measured: crystalline B3Pb6ClO10 at its relaxed geometry at the PBE level of DFT.

Summary:
space-group type: Pbcm
ΔH_f (0 K): -2.03 eV/atom
uncorrected energy: -6.37 eV/atom

POSCAR file:
```
B3Pb6ClO10
1.0
7.190 0.000 0.000
0.000 17.509 0.000
0.000 0.000 11.266
B Pb Cl O
12 24 4 40
Cartesian
1.467 3.938 2.817 B
1.467 4.817 8.450 B
1.597 0.066 5.663 B
1.597 0.066 11.237 B
1.597 8.688 0.030 B
1.597 8.688 5.604 B
5.592 8.821 5.663 B
5.592 8.821 11.237 B
5.592 17.443 0.030 B
5.592 17.443 5.604 B
5.722 12.692 2.817 B
5.722 13.572 8.450 B
0.195 11.470 0.751 Pb
0.195 11.470 4.883 Pb
0.195 14.794 6.384 Pb
0.195 14.794 10.516 Pb
0.649 1.070 8.450 Pb
0.649 7.684 2.817 Pb
3.053 0.478 2.817 Pb
3.053 8.277 8.450 Pb
3.395 2.811 6.562 Pb
3.395 2.811 10.337 Pb
3.395 5.944 0.929 Pb
3.395 5.944 4.704 Pb
3.795 11.566 6.562 Pb
3.795 11.566 10.337 Pb
3.795 14.698 0.929 Pb
3.795 14.698 4.704 Pb
4.137 9.233 2.817 Pb
4.137 17.031 8.450 Pb
6.541 9.825 8.450 Pb
6.541 16.439 2.817 Pb
6.995 2.715 0.751 Pb
6.995 2.715 4.883 Pb
6.995 6.039 6.384 Pb
6.995 6.039 10.516 Pb
2.160 12.901 2.817 Cl
2.160 13.362 8.450 Cl
5.030 4.147 2.817 Cl
5.030 4.608 8.450 Cl
0.824 2.651 2.817 O
0.824 6.103 8.450 O
1.195 9.345 1.197 O
1.195 9.345 4.436 O
1.195 16.919 6.830 O
1.195 16.919 10.070 O
1.621 1.469 5.699 O
1.621 1.469 11.201 O
1.621 7.285 0.066 O
1.621 7.285 5.567 O
1.687 4.261 7.215 O
1.687 4.261 9.685 O
1.687 4.494 1.582 O
1.687 4.494 4.051 O
1.957 9.395 6.727 O
1.957 9.395 10.172 O
1.957 16.869 1.094 O
1.957 16.869 4.539 O
2.964 1.576 8.450 O
2.964 7.178 2.817 O
4.226 10.331 8.450 O
4.226 15.933 2.817 O
5.233 0.640 6.727 O
5.233 0.640 10.172 O
5.233 8.114 1.094 O
5.233 8.114 4.539 O
5.503 13.015 7.215 O
5.503 13.015 9.685 O
5.503 13.248 1.582 O
5.503 13.248 4.051 O
5.569 10.224 5.699 O
5.569 10.224 11.201 O
5.569 16.040 0.066 O
5.569 16.040 5.567 O
5.995 0.590 1.197 O
5.995 0.590 4.436 O
5.995 8.165 6.830 O
5.995 8.165 10.070 O
6.366 11.406 2.817 O
6.366 14.858 8.450 O
```



Computed, not measured: crystalline B10Pb4Cl2O19 at its relaxed geometry at the PBE level of DFT.

Summary:
space-group type: Pnn2
ΔH_f (0 K): -2.40 eV/atom
uncorrected energy: -7.16 eV/atom

POSCAR file:
```
B10Pb4Cl2O19
1.0
11.527 0.000 0.000
0.000 11.681 0.000
0.000 0.000 6.629
B Pb Cl O
20 8 4 38
Cartesian
0.127 2.853 0.000 B
2.124 3.118 5.141 B
2.410 2.107 0.836 B
2.450 9.213 6.251 B
2.718 11.188 1.082 B
3.045 5.347 4.397 B
3.314 3.373 2.936 B
3.354 7.948 4.151 B
3.640 8.958 1.827 B
5.637 8.694 3.314 B
5.891 2.987 3.314 B
7.888 2.723 1.827 B
8.174 3.733 4.151 B
8.214 8.308 2.936 B
8.482 6.334 4.397 B
8.809 0.493 1.082 B
9.077 2.468 6.251 B
9.117 9.574 0.836 B
9.403 8.563 5.141 B
11.400 8.828 0.000 B
0.431 8.908 3.171 Pb
2.654 6.113 0.880 Pb
3.110 0.273 4.195 Pb
5.332 3.068 6.486 Pb
6.195 8.613 6.486 Pb
8.418 11.408 4.195 Pb
8.873 5.568 0.880 Pb
11.096 2.773 3.171 Pb
0.000 0.000 3.958 Cl
0.000 5.841 2.456 Cl
5.764 0.000 5.770 Cl
5.764 5.841 0.644 Cl
0.000 5.841 0.028 O
0.651 3.205 5.404 O
0.946 2.408 1.010 O
1.207 8.678 0.274 O
2.217 2.747 3.717 O
2.472 10.712 6.443 O
2.533 8.987 4.815 O
2.694 0.810 1.471 O
2.733 2.098 6.015 O
2.751 4.439 5.411 O
3.013 10.279 2.097 O
3.030 7.939 2.701 O
3.070 6.650 4.786 O
3.230 3.146 1.501 O
3.292 4.872 3.128 O
3.547 8.588 0.403 O
4.556 2.837 3.588 O
4.818 8.248 4.325 O
5.112 9.045 2.089 O
5.764 0.000 3.342 O
6.415 2.636 2.089 O
6.709 3.433 4.325 O
6.971 8.844 3.588 O
7.980 3.093 0.403 O
8.235 6.809 3.128 O
8.297 8.535 1.501 O
8.458 5.031 4.786 O
8.497 3.742 2.701 O
8.515 1.402 2.097 O
8.777 7.242 5.411 O
8.794 9.583 6.015 O
8.833 10.872 1.471 O
8.994 2.694 4.815 O
9.056 0.969 6.443 O
9.311 8.934 3.717 O
10.320 3.003 0.274 O
10.582 9.273 1.010 O
10.876 8.476 5.404 O
```



Computed, not measured: crystalline PrB4ClO8 at its relaxed geometry at the PBE level of DFT.

Summary:
space-group type: Cc
ΔH_f (0 K): -2.64 eV/atom
uncorrected energy: -7.46 eV/atom

POSCAR file:
```
PrB4ClO8
1.0
3.300 -5.675 0.000
3.300 5.675 0.000
-2.686 0.000 9.363
Pr B Cl O
2 8 2 16
Cartesian
1.957 3.322 4.682 Pr
3.300 -3.322 0.000 Pr
-0.068 1.044 3.513 B
0.265 2.790 7.974 B
-1.411 -1.044 8.195 B
0.529 0.398 8.785 B
1.872 -0.398 4.103 B
1.609 -2.790 3.292 B
4.180 0.593 3.977 B
2.837 -0.593 8.658 B
1.843 3.646 1.836 Cl
0.499 -3.646 6.518 Cl
0.837 5.520 8.737 O
0.538 2.651 6.563 O
1.938 4.621 6.742 O
-0.198 1.552 8.614 O
1.237 0.810 4.147 O
1.579 3.218 8.501 O
-0.106 -0.810 8.829 O
1.145 -1.552 3.933 O
3.847 1.865 3.588 O
1.881 -2.651 1.881 O
1.916 0.428 8.919 O
3.259 -0.428 4.237 O
2.922 -3.218 3.820 O
2.504 -1.865 8.270 O
2.180 -5.520 4.056 O
3.281 -4.621 2.061 O
```



Please write out number 3 again, unchanged.
Computed, not measured: crystalline Na3B6ClO10 at its relaxed geometry at the PBE level of DFT.

Summary:
space-group type: P2_12_12_1
ΔH_f (0 K): -2.68 eV/atom
uncorrected energy: -7.11 eV/atom

POSCAR file:
```
Na3B6ClO10
1.0
7.490 0.000 0.000
0.000 10.006 0.000
0.000 0.000 12.894
Na B Cl O
12 24 4 40
Cartesian
0.189 2.412 3.278 Na
0.395 2.093 9.762 Na
0.981 9.972 0.743 Na
2.764 0.034 7.190 Na
3.350 7.913 3.315 Na
3.556 7.594 9.726 Na
3.934 2.591 9.616 Na
4.139 2.910 3.132 Na
4.726 5.037 12.151 Na
6.508 4.969 5.704 Na
7.095 7.096 9.579 Na
7.301 7.415 3.169 Na
0.124 7.308 12.585 B
0.174 2.666 12.648 B
0.854 4.985 12.042 B
1.796 6.299 7.588 B
1.860 3.691 7.603 B
1.864 4.993 9.751 B
1.881 5.013 3.304 B
1.884 6.315 1.156 B
1.949 3.707 1.141 B
2.891 5.021 5.594 B
3.571 7.340 6.201 B
3.620 2.698 6.138 B
3.869 7.701 0.309 B
3.918 2.337 0.246 B
4.599 0.018 0.853 B
5.540 8.710 5.306 B
5.605 1.312 5.292 B
5.609 0.010 3.144 B
5.626 9.996 9.591 B
5.629 8.694 11.739 B
5.694 1.296 11.753 B
6.636 9.988 7.300 B
7.316 7.669 6.693 B
7.365 2.305 6.757 B
1.355 9.841 3.606 Cl
2.390 0.165 10.053 Cl
5.100 5.168 9.288 Cl
6.135 4.838 2.841 Cl
0.021 1.154 7.490 O
0.055 3.771 11.846 O
0.478 6.502 6.995 O
0.516 3.466 7.098 O
0.963 7.391 0.786 O
1.019 2.614 0.844 O
1.386 5.002 0.578 O
1.710 6.180 9.059 O
1.761 4.985 4.668 O
1.859 6.220 2.633 O
1.886 3.785 9.080 O
1.984 5.021 11.115 O
2.035 3.826 2.612 O
2.358 5.004 7.025 O
2.726 7.392 7.291 O
2.781 2.615 7.233 O
3.229 6.540 0.651 O
3.267 3.504 0.548 O
3.690 6.235 5.399 O
3.724 8.852 1.043 O
3.766 3.849 5.404 O
3.799 1.232 1.048 O
4.223 8.507 5.899 O
4.261 1.537 5.797 O
4.708 7.618 12.108 O
4.764 2.389 12.050 O
5.131 0.001 12.317 O
5.455 8.829 3.835 O
5.506 0.018 8.226 O
5.603 8.788 10.261 O
5.631 1.217 3.814 O
5.729 9.988 1.779 O
5.780 1.177 10.282 O
6.103 10.005 5.870 O
6.470 7.617 5.603 O
6.526 2.388 5.661 O
6.974 8.469 12.244 O
7.012 1.499 12.346 O
7.435 8.774 7.496 O
7.468 6.157 11.852 O
```